{"formula": "KCSN", "functional": "meta-GGA r2SCAN", "state": "optimized geometry", "total_energy_ev_per_fu": -35.18, "crystal_system": "orthorhombic", "e_above_lowest_polymorph_mev_per_atom": 22, "ef_ev_per_atom": -0.513, "magnetic_moment_mub_per_fu": 0.00, "lattice": [[7.7478, 0.0000, 0.0000], [0.0000, 6.8608, 0.0000], [0.0000, 0.0000, 6.6080]], "species": ["K", "K", "K", "K", "C", "C", "C", "C", "S", "S", "S", "S", "N", "N", "N", "N"], "frac_coords": [[0.0000, 0.0000, 0.0000], [0.0000, 0.5000, 0.5000], [0.5000, 0.0000, 0.0000], [0.5000, 0.5000, 0.5000], [0.2500, 0.0212, 0.5557], [0.2500, 0.4788, 0.0557], [0.7500, 0.5212, 0.0557], [0.7500, 0.9788, 0.5557], [0.2500, 0.6373, 0.8717], [0.2500, 0.8627, 0.3717], [0.7500, 0.1373, 0.3717], [0.7500, 0.3627, 0.8717], [0.2500, 0.1335, 0.6912], [0.2500, 0.3665, 0.1912], [0.7500, 0.6335, 0.1912], [0.7500, 0.8665, 0.6912]]}

***

{"formula": "KCSN", "functional": "meta-GGA r2SCAN", "state": "optimized geometry", "total_energy_ev_per_fu": -35.27, "crystal_system": "orthorhombic", "e_above_lowest_polymorph_mev_per_atom": 0, "ef_ev_per_atom": -0.535, "magnetic_moment_mub_per_fu": 0.00, "lattice": [[6.7009, 0.0000, 0.0000], [0.0000, 6.6513, 0.0000], [0.0000, 0.0000, 7.4928]], "species": ["K", "K", "K", "K", "C", "C", "C", "C", "S", "S", "S", "S", "N", "N", "N", "N"], "frac_coords": [[0.1956, 0.2500, 0.0000], [0.1956, 0.2500, 0.5000], [0.8044, 0.7500, 0.0000], [0.8044, 0.7500, 0.5000], [0.2316, 0.7117, 0.2500], [0.2316, 0.7883, 0.7500], [0.7684, 0.2117, 0.2500], [0.7684, 0.2883, 0.7500], [0.3972, 0.6104, 0.7500], [0.3972, 0.8896, 0.2500], [0.6028, 0.1104, 0.7500], [0.6028, 0.3896, 0.2500], [0.1101, 0.5821, 0.2500], [0.1101, 0.9179, 0.7500], [0.8899, 0.0821, 0.2500], [0.8899, 0.4179, 0.7500]]}